The following is a DFT calculation (GGA+U) of a relaxed KCeW2O8 crystal.

The structure in POSCAR format:
```
KCeW2O8
1.0
5.204 -5.482 0.000
5.204 5.482 0.000
-4.473 0.000 6.197
K Ce W O
2 2 4 16
Cartesian
1.845 0.000 0.171
4.089 0.000 6.026
2.967 3.279 3.099
2.967 -3.279 3.099
0.576 0.000 3.452
5.204 1.765 0.000
5.204 -1.765 0.000
5.359 0.000 2.745
-0.985 0.000 2.411
-0.487 1.378 4.705
4.069 2.867 0.901
1.512 1.392 2.709
1.866 2.867 5.296
-0.487 -1.378 4.705
1.512 -1.392 2.709
4.336 0.000 0.958
1.599 0.000 5.239
4.423 1.392 3.489
6.422 1.378 1.492
4.069 -2.867 0.901
4.423 -1.392 3.489
1.866 -2.867 5.296
6.422 -1.378 1.492
6.919 0.000 3.786
```

Results
E (MP2020): -8.680 eV/atom
Calculated volume: 14.73 Å³/atom
Space group: C2/m (12)

---

The following is a DFT calculation (GGA+U) of a relaxed Mn2OF3 crystal.

The structure in POSCAR format:
```
Mn2OF3
1.0
4.851 0.000 0.000
0.157 5.811 0.000
0.294 2.720 13.410
Mn O F
10 5 15
Cartesian
0.000 0.000 0.000
0.312 4.463 10.744
0.376 4.048 2.594
2.412 1.026 2.724
2.590 5.075 5.234
2.625 3.356 8.082
2.797 7.359 10.739
2.584 2.874 0.032
4.871 2.241 5.543
5.133 6.213 8.068
1.165 4.627 8.898
1.068 4.220 0.788
1.677 5.185 3.453
4.069 2.027 7.341
4.293 4.299 12.562
1.041 2.255 3.655
1.211 2.751 11.551
1.232 6.295 6.224
1.781 7.474 8.874
1.490 1.243 0.814
1.811 5.656 11.556
1.671 3.392 6.172
3.631 3.280 9.944
3.630 4.993 7.132
3.486 1.018 4.589
3.531 2.767 1.981
3.834 7.271 12.596
4.049 5.752 1.818
4.230 6.161 9.917
4.161 3.948 4.446
```

Results
E (MP2020): -7.438 eV/atom
Calculated volume: 12.60 Å³/atom
Space group: P1 (1)

---

The following is a DFT calculation (GGA+U) of a relaxed Li5Fe2P2C2O14 crystal.

The structure in POSCAR format:
```
Li5Fe2P2C2O14
1.0
8.259 0.000 0.000
-2.088 8.003 0.000
-0.430 -0.607 8.396
Li Fe P C O
10 4 4 4 28
Cartesian
0.000 0.000 0.000
-1.247 3.631 4.621
-0.849 6.481 3.150
0.479 2.774 1.444
1.586 1.392 4.643
0.890 5.931 0.047
1.788 7.468 4.613
2.732 3.303 8.390
4.339 2.542 3.140
3.386 6.824 1.602
1.651 4.315 5.059
2.858 0.443 7.974
6.722 0.174 5.156
5.841 4.389 7.855
0.017 2.173 7.202
-0.822 6.487 5.815
3.087 6.174 7.255
4.361 2.476 5.792
2.720 0.454 2.066
1.913 4.879 2.561
5.888 4.431 1.913
7.283 0.798 2.739
-0.582 1.469 3.807
-2.032 6.994 4.980
-0.776 3.230 8.046
-1.220 5.930 7.222
-0.210 5.379 4.914
0.500 2.746 5.856
1.166 1.777 8.164
0.174 7.741 1.079
1.250 3.810 2.871
2.271 -0.363 6.048
2.419 0.130 3.295
2.225 5.148 1.331
3.467 1.473 1.807
2.261 4.880 7.014
2.292 5.687 3.509
3.257 2.952 4.811
2.330 7.067 8.257
3.778 2.025 7.126
3.349 6.848 5.880
5.062 1.343 4.969
5.190 3.993 0.886
4.435 5.841 7.982
6.455 -0.182 3.005
5.424 3.598 6.080
5.784 3.906 3.062
7.707 1.078 1.580
7.407 0.898 6.908
6.714 5.408 1.625
```

Results
E (MP2020): -7.313 eV/atom
Calculated volume: 11.10 Å³/atom
Space group: P1 (1)

---

The following is a DFT calculation (GGA+U) of a relaxed Li4Co2Si3O10 crystal.

The structure in POSCAR format:
```
Li4Co2Si3O10
1.0
4.629 -2.706 0.000
4.629 2.706 0.000
-2.578 0.000 16.889
Li Co Si O
8 4 6 20
Cartesian
1.099 0.561 3.860
0.945 0.387 9.316
-0.190 -0.561 12.304
2.234 -0.387 0.872
4.446 0.387 16.017
6.871 0.561 4.585
5.735 -0.387 7.572
5.581 -0.561 13.029
1.317 0.457 15.426
2.606 -0.457 6.982
4.074 0.457 9.907
5.363 -0.457 1.463
3.778 2.178 1.648
4.191 2.178 6.796
3.985 0.641 4.222
2.695 -0.641 12.666
2.489 -2.178 10.093
2.902 -2.178 15.240
0.590 0.244 1.810
3.259 1.723 3.184
0.780 0.400 7.351
-0.699 -0.244 10.255
4.710 1.723 5.260
-0.509 -0.400 15.796
3.894 0.766 0.817
1.480 0.206 13.323
2.769 -0.206 4.879
4.075 0.766 7.628
2.605 -0.766 9.261
3.911 0.206 12.010
5.200 -0.206 3.566
2.786 -0.766 16.072
7.189 0.400 1.093
1.970 -1.723 11.629
7.379 0.244 6.634
5.900 -0.400 9.537
3.421 -1.723 13.704
6.090 -0.244 15.078
```

Results
E (MP2020): -7.206 eV/atom
Calculated volume: 11.13 Å³/atom
Space group: C2/c (15)

---

The following is a DFT calculation (GGA+U) of a relaxed Li2Co2OF6 crystal.

The structure in POSCAR format:
```
Li2Co2OF6
1.0
5.215 0.000 0.000
0.586 6.806 0.000
1.969 2.747 7.755
Li Co O F
4 4 2 12
Cartesian
0.000 0.000 0.000
2.763 6.792 5.142
3.152 5.609 1.327
5.405 5.665 6.318
0.675 3.433 0.898
2.084 3.393 4.473
3.164 2.188 1.875
4.582 2.229 5.706
1.608 3.116 2.482
3.043 3.075 6.097
1.375 5.261 0.778
2.634 5.146 4.193
2.372 2.519 0.103
3.282 7.268 2.202
4.574 7.187 5.610
3.786 2.445 3.743
4.129 3.977 1.616
5.984 8.949 7.442
5.636 4.017 5.335
4.925 1.623 1.039
7.181 6.229 6.877
6.911 8.437 4.778
```

Results
E (MP2020): -5.385 eV/atom
Calculated volume: 12.51 Å³/atom
Space group: P1 (1)

---

The following is a DFT calculation (GGA+U) of a relaxed LiFe2OF5 crystal.

The structure in POSCAR format:
```
LiFe2OF5
1.0
4.686 0.000 0.000
0.000 5.112 0.000
-4.466 0.000 17.130
Li Fe O F
4 8 4 20
Cartesian
0.000 0.022 0.000
-2.233 5.091 8.565
2.413 2.482 4.616
0.180 2.630 13.181
-2.288 2.421 10.314
-0.055 2.692 1.749
0.220 0.034 5.520
-2.013 5.078 14.085
-2.118 2.553 16.009
0.115 2.559 7.445
0.157 0.008 11.394
2.390 5.104 2.829
1.384 0.739 4.316
-0.849 4.373 12.881
1.378 0.884 10.190
3.611 4.228 1.625
-3.374 0.874 12.991
-1.142 4.238 4.426
-0.913 1.675 5.962
-3.146 3.437 14.527
-3.124 0.907 15.773
-0.891 4.205 7.208
-1.107 1.749 8.724
1.126 3.364 0.159
1.149 0.966 1.528
-1.084 4.146 10.093
-0.919 1.736 11.577
1.314 3.377 3.012
-1.057 1.704 14.539
1.176 3.408 5.974
1.162 0.909 7.204
-1.071 4.203 15.769
3.612 1.774 0.160
1.379 3.338 8.725
3.543 1.669 3.026
1.310 3.443 11.591
```

Results
E (MP2020): -6.225 eV/atom
Calculated volume: 11.40 Å³/atom
Space group: Pc (7)

---

The following is a DFT calculation (GGA+U) of a relaxed Ni5Se4Cl2O12 crystal.

The structure in POSCAR format:
```
Ni5Se4Cl2O12
1.0
8.228 0.000 0.000
-0.351 9.428 0.000
-2.620 -2.002 8.942
Ni Se Cl O
10 8 4 24
Cartesian
-0.818 2.899 3.307
-1.051 -1.258 6.064
1.667 2.753 0.515
0.136 2.320 6.226
1.206 5.585 6.916
4.051 1.841 2.025
5.121 5.106 2.715
3.590 4.672 8.427
6.308 8.684 2.878
6.075 4.527 5.635
-1.366 3.851 8.312
0.106 6.146 3.639
1.208 0.952 3.490
1.461 -0.549 7.402
3.796 7.975 1.540
4.048 6.473 5.451
5.151 1.280 5.303
6.623 3.575 0.629
-2.269 -0.570 8.020
2.951 4.309 2.033
2.306 3.116 6.909
7.526 7.996 0.922
-1.243 4.930 3.822
-0.409 0.914 2.860
-0.056 3.532 1.405
-0.681 7.606 4.157
-0.897 2.221 8.013
-0.503 4.440 6.871
0.922 2.485 4.299
0.416 0.289 6.278
0.250 7.383 7.221
2.060 1.354 2.032
1.139 5.788 4.909
0.954 0.094 8.920
4.302 7.332 0.021
4.118 1.637 4.033
3.197 6.072 6.909
5.007 0.043 1.721
4.841 7.136 2.664
4.335 4.941 4.643
5.760 2.985 2.070
6.153 5.205 0.928
5.938 -0.180 4.785
5.312 3.893 7.537
5.666 6.512 6.082
6.499 2.496 5.120
```

Results
E (MP2020): -5.821 eV/atom
Calculated volume: 15.08 Å³/atom
Space group: P-1 (2)

---

The following is a DFT calculation (GGA+U) of a relaxed MgMn6O10F2 crystal.

The structure in POSCAR format:
```
MgMn6O10F2
1.0
5.106 0.000 0.000
0.857 5.646 0.000
0.714 0.959 7.424
Mg Mn O F
1 6 10 2
Cartesian
0.000 0.000 0.000
0.527 0.602 3.789
0.734 2.366 1.410
3.245 3.224 3.726
3.210 1.731 6.101
3.333 4.812 1.247
5.857 4.272 5.985
1.670 2.744 6.892
1.802 4.426 4.356
1.048 0.441 1.864
2.353 1.686 4.435
2.433 3.271 1.973
3.305 5.807 6.958
4.114 3.253 5.435
4.804 2.204 3.042
5.646 6.236 5.600
4.956 3.892 0.517
4.194 4.877 2.999
3.462 0.931 0.492
```

Results
E (MP2020): -7.888 eV/atom
Calculated volume: 11.26 Å³/atom
Space group: P1 (1)

---

The following is a DFT calculation (GGA+U) of a relaxed LiVO2 crystal.

The structure in POSCAR format:
```
LiVO2
1.0
3.030 0.000 0.000
0.000 3.030 0.000
0.000 0.000 3.918
Li V O
1 1 2
Cartesian
0.000 0.000 0.000
1.515 1.515 1.959
0.000 0.000 1.959
1.515 1.515 0.000
```

Results
E (MP2020): -7.572 eV/atom
Calculated volume: 8.99 Å³/atom
Space group: P4/mmm (123)

---

The following is a DFT calculation (GGA+U) of a relaxed Li2Fe3F8 crystal.

The structure in POSCAR format:
```
Li2Fe3F8
1.0
6.794 0.000 0.000
0.000 9.405 0.000
-0.301 0.000 11.288
Li Fe F
8 12 32
Cartesian
0.588 0.995 1.550
0.437 3.707 7.194
2.697 5.196 1.645
2.546 8.911 7.289
3.946 0.494 3.999
3.795 4.208 9.643
6.055 5.697 4.095
5.905 8.410 9.739
0.480 5.153 9.898
0.631 8.954 4.254
1.451 1.492 9.677
1.602 3.210 4.033
2.603 6.498 4.952
2.452 7.609 10.596
4.040 1.796 0.692
3.890 2.906 6.336
4.890 6.195 7.256
5.041 7.912 1.611
5.862 0.450 7.034
6.012 4.252 1.390
-0.114 5.437 7.842
0.037 8.670 2.198
0.564 6.889 4.752
0.413 7.218 10.396
0.944 0.047 6.409
1.094 4.655 0.765
1.135 1.416 3.333
0.984 3.287 8.977
2.083 0.993 0.376
1.933 3.710 6.020
2.380 5.072 3.543
2.229 9.035 9.187
2.497 5.621 9.901
2.648 8.486 4.257
3.143 7.003 1.194
2.992 7.104 6.838
3.500 2.301 4.450
3.349 2.402 10.095
3.844 0.919 7.031
3.995 3.783 1.387
4.263 0.369 2.101
4.112 4.333 7.746
4.560 5.695 5.268
4.409 8.412 10.912
5.508 6.118 2.311
5.358 7.989 7.955
5.398 4.749 10.523
5.549 9.357 4.879
6.079 2.187 0.892
5.929 2.516 6.536
6.456 0.735 9.090
6.606 3.967 3.446
```

Results
E (MP2020): -6.134 eV/atom
Calculated volume: 13.87 Å³/atom
Space group: P2_1/c (14)

---

The following is a DFT calculation (GGA+U) of a relaxed Li6Mo2O7 crystal.

The structure in POSCAR format:
```
Li6Mo2O7
1.0
6.173 0.000 0.000
0.000 8.514 0.000
0.000 0.000 5.974
Li Mo O
12 4 14
Cartesian
0.000 0.000 0.000
0.000 0.000 2.426
0.000 4.257 5.574
1.543 2.008 1.158
1.543 2.293 4.379
1.543 6.221 4.172
3.087 0.000 0.000
3.087 0.000 2.426
3.087 4.257 5.574
4.630 2.293 4.172
4.630 6.221 4.379
4.630 6.507 1.158
0.000 4.257 2.676
1.543 6.490 1.055
3.087 4.257 2.676
4.630 2.025 1.055
0.094 6.532 5.710
0.124 6.444 2.586
1.543 4.226 4.136
1.543 4.367 1.123
1.543 8.466 1.203
2.963 6.444 2.586
2.993 6.532 5.710
3.181 1.983 5.710
3.211 2.070 2.586
4.630 0.049 1.203
4.630 4.147 1.123
4.630 4.289 4.136
6.049 2.070 2.586
6.079 1.983 5.710
```

Results
E (MP2020): -6.620 eV/atom
Calculated volume: 10.47 Å³/atom
Space group: Pma2 (28)

---

The records above give, respectively, E_form values of -2.6351; -2.6024; -2.3112; -2.5955; -2.2513; -2.5172; -1.2143; -2.1046; -2.3496; -2.7072; -2.1013 eV per atom.
The records above give, respectively, total magnetization values of 2.1; 45.0; 18.0; 12.0; 0.0; 40.0; 20.0; 22.0; 2.0; 48.0; 8.0 μB/cell.